[1]
A plane-wave DFT calculation with PBE+U was carried out for a geometry-optimized Li9Mn2Co5O16 structure.

Output
VASP energy: -5.815 eV/atom
Total moment: 10.0 μB per cell

```
data_Li9Mn2Co5O16
_chemical_formula_sum 'Li9 Mn2 Co5 O16'
_symmetry_space_group_name_H-M 'P -1'
_symmetry_Int_Tables_number 2
_symmetry_space_group_name_Hall '-P 1'
_cell_length_a 5.861
_cell_length_b 5.904
_cell_length_c 8.634
_cell_angle_alpha 88.58
_cell_angle_beta 70.66
_cell_angle_gamma 87.30
loop_
_atom_site_label
_atom_site_type_symbol
_atom_site_fract_x
_atom_site_fract_y
_atom_site_fract_z
Li1 Li 0.000 0.000 0.000
Li2 Li 0.000 0.500 0.000
Li3 Li 0.131 0.241 0.234
Li4 Li 0.254 0.002 0.494
Li5 Li 0.360 0.759 0.767
Li6 Li 0.500 0.500 0.000
Mn1 Mn 0.250 0.502 0.503
Co1 Co 0.127 0.756 0.245
Co2 Co 0.362 0.242 0.759
Co3 Co 0.500 0.000 0.000
O1 O 0.007 0.280 0.506
O2 O 0.116 0.021 0.740
O3 O 0.146 0.497 0.740
O4 O 0.264 0.773 0.017
O5 O 0.268 0.243 0.987
O6 O 0.356 0.519 0.268
O7 O 0.404 0.995 0.239
O8 O 0.496 0.722 0.492
```


[2]
A plane-wave DFT calculation with PBE+U was carried out for a geometry-optimized V6O11 structure.

Output
VASP energy: -7.850 eV/atom

```
data_V6O11
_chemical_formula_sum 'V12 O22'
_symmetry_space_group_name_H-M 'P -1'
_symmetry_Int_Tables_number 2
_symmetry_space_group_name_Hall '-P 1'
_cell_length_a 5.560
_cell_length_b 7.142
_cell_length_c 9.759
_cell_angle_alpha 89.26
_cell_angle_beta 80.14
_cell_angle_gamma 72.21
loop_
_atom_site_label
_atom_site_type_symbol
_atom_site_fract_x
_atom_site_fract_y
_atom_site_fract_z
V1 V 0.175 0.308 0.069
V2 V 0.182 0.802 0.064
V3 V 0.231 0.860 0.414
V4 V 0.241 0.359 0.425
V5 V 0.306 0.429 0.765
V6 V 0.311 0.920 0.756
O1 O 0.017 0.092 0.106
O2 O 0.073 0.420 0.240
O3 O 0.095 0.639 0.475
O4 O 0.128 0.984 0.614
O5 O 0.182 0.204 0.860
O6 O 0.209 0.548 0.966
O7 O 0.329 0.745 0.210
O8 O 0.362 0.083 0.348
O9 O 0.407 0.301 0.573
O10 O 0.441 0.642 0.702
O11 O 0.473 0.828 0.928
```


For each record above, in turn, the calculated formation enthalpy at 0 K values are -1.825, -2.487 eV/atom.
For each record above, in turn, the calculated energy relative to the lowest polymorph listed for this composition values are 1.26, 0.00 eV/f.u..